# 1
The following is a DFT calculation (PBE) of Cu3OF5 after structural relaxation.

Computed properties:
**ΔH_f (0 K)**: -1596 meV/atom
**Polymorph energy (0 for the lowest one)**: 17 meV/atom
**Raw total energy**: -4.243 eV/atom

Cell lengths 5.8833, 4.6122, 7.6294 Å; angles 90.00, 91.14, 90.00 degrees
Space group P2_1 (No. 4)
Unique sites:
Cu1 0.0575 0.0000 0.1749 x2
Cu2 0.2550 0.5144 0.5106 x2
Cu3 0.4052 0.0507 0.8338 x2
O1 0.2229 0.3389 0.7258 x2
F1 0.0743 0.2288 0.3958 x2
F2 0.1072 0.8248 0.9431 x2
F3 0.2716 0.7194 0.2852 x2
F4 0.3910 0.2428 0.0645 x2
F5 0.4282 0.8237 0.6120 x2

# 2
The following is a DFT calculation (PBE) of Cu3OF5 after structural relaxation.

Computed properties:
**ΔH_f (0 K)**: -1591 meV/atom
**Polymorph energy (0 for the lowest one)**: 22 meV/atom
**Raw total energy**: -4.237 eV/atom

Cell lengths 5.3853, 5.7409, 7.2333 Å; angles 78.61, 74.91, 74.86 degrees
Space group P-1 (No. 2)
Unique sites:
Cu1 0.0000 0.0000 0.0000 x1
Cu2 0.0000 0.0000 0.5000 x1
Cu3 0.3118 0.3088 0.1611 x2
Cu4 0.3403 0.3434 0.6698 x2
O1 0.0920 0.0919 0.2048 x2
F1 0.0148 0.5976 0.1758 x2
F2 0.2279 0.2239 0.4880 x2
F3 0.3101 0.7187 0.4842 x2
F4 0.3663 0.9569 0.8570 x2
F5 0.4601 0.4645 0.8493 x2

# 3
The following is a DFT calculation (PBE) of Cu6OF11 after structural relaxation.

Computed properties:
**ΔH_f (0 K)**: -1698 meV/atom
**Polymorph energy (0 for the lowest one)**: 5 meV/atom
**Raw total energy**: -4.189 eV/atom

Cell lengths 3.2761, 6.4303, 10.3957 Å; angles 107.12, 93.57, 94.23 degrees
Space group P1 (No. 1)
Unique sites:
Cu1 0.0000 0.0000 0.0000 x1
Cu2 0.9997 0.3327 0.6657 x1
Cu3 0.4984 0.5004 0.9994 x1
Cu4 0.5004 0.8326 0.6659 x1
Cu5 0.5208 0.1373 0.3329 x1
Cu6 0.9975 0.6800 0.3329 x1
O1 0.0257 0.9663 0.3317 x1
F1 0.0240 0.6320 0.6660 x1
F2 0.0268 0.2987 0.9993 x1
F3 0.4435 0.7386 0.4688 x1
F4 0.4645 0.0668 0.1357 x1
F5 0.4687 0.4013 0.8021 x1
F6 0.5309 0.9313 0.8634 x1
F7 0.5372 0.2619 0.5294 x1
F8 0.5525 0.6011 0.1956 x1
F9 0.9548 0.3786 0.3336 x1
F10 0.9744 0.7003 0.9990 x1
F11 0.9746 0.0339 0.6669 x1

# 4
The following is a DFT calculation (PBE) of Cu3OF5 after structural relaxation.

Computed properties:
**ΔH_f (0 K)**: -1597 meV/atom
**Polymorph energy (0 for the lowest one)**: 15 meV/atom
**Raw total energy**: -4.244 eV/atom

Cell lengths 4.5916, 4.5960, 10.3119 Å; angles 90.00, 111.75, 90.00 degrees
Space group Pc (No. 7)
Unique sites:
Cu1 0.0000 0.2170 0.0000 x2
Cu2 0.3812 0.2490 0.3415 x2
Cu3 0.7049 0.2459 0.6580 x2
O1 0.7163 0.0741 0.4991 x2
F1 0.0681 0.0335 0.8444 x2
F2 0.2869 0.4855 0.4857 x2
F3 0.4225 0.0401 0.1786 x2
F4 0.6428 0.4434 0.8118 x2
F5 0.9920 0.4299 0.1639 x2

Q: ΔH_f (0 K) of number 3 (Cu6OF11)?
A: -1698 meV/atom

Copy entry 4 word for word.
The following is a DFT calculation (PBE) of Cu3OF5 after structural relaxation.

Computed properties:
**ΔH_f (0 K)**: -1597 meV/atom
**Polymorph energy (0 for the lowest one)**: 15 meV/atom
**Raw total energy**: -4.244 eV/atom

Cell lengths 4.5916, 4.5960, 10.3119 Å; angles 90.00, 111.75, 90.00 degrees
Space group Pc (No. 7)
Unique sites:
Cu1 0.0000 0.2170 0.0000 x2
Cu2 0.3812 0.2490 0.3415 x2
Cu3 0.7049 0.2459 0.6580 x2
O1 0.7163 0.0741 0.4991 x2
F1 0.0681 0.0335 0.8444 x2
F2 0.2869 0.4855 0.4857 x2
F3 0.4225 0.0401 0.1786 x2
F4 0.6428 0.4434 0.8118 x2
F5 0.9920 0.4299 0.1639 x2

Q: The highest raw total energy belongs to which entry?
A: Cu6OF11